1.
VASP calculation (r2SCAN) on a relaxed Ba4Cu3Si20 crystal.

## Properties
* calculated formation energy: -0.2191 eV/atom
* magnetization: 0.00 μB per formula unit
* VASP energy: -11.849 eV/atom

a b c (Å): 10.3436 10.3436 10.3436
angles (deg): 90.00 90.00 90.00
Sites, in units of the cell vectors:
Ba  0.0000  0.0000  0.0000
Ba  0.0000  0.2500  0.5000
Ba  0.0000  0.7500  0.5000
Ba  0.2500  0.5000  0.0000
Ba  0.5000  0.0000  0.2500
Ba  0.5000  0.0000  0.7500
Ba  0.5000  0.5000  0.5000
Ba  0.7500  0.5000  0.0000
Cu  0.0000  0.5000  0.2500
Cu  0.0000  0.5000  0.7500
Cu  0.2500  0.0000  0.5000
Cu  0.5000  0.2500  0.0000
Cu  0.5000  0.7500  0.0000
Cu  0.7500  0.0000  0.5000
Si  0.0000  0.3114  0.1196
Si  0.0000  0.3114  0.8804
Si  0.0000  0.6886  0.1196
Si  0.0000  0.6886  0.8804
Si  0.1196  0.0000  0.3114
Si  0.1196  0.0000  0.6886
Si  0.1839  0.1839  0.1839
Si  0.1839  0.1839  0.8161
Si  0.1839  0.8161  0.1839
Si  0.1839  0.8161  0.8161
Si  0.1886  0.5000  0.3804
Si  0.1886  0.5000  0.6196
Si  0.3114  0.1196  0.0000
Si  0.3114  0.8804  0.0000
Si  0.3161  0.3161  0.3161
Si  0.3161  0.3161  0.6839
Si  0.3161  0.6839  0.3161
Si  0.3161  0.6839  0.6839
Si  0.3804  0.1886  0.5000
Si  0.3804  0.8114  0.5000
Si  0.5000  0.3804  0.1886
Si  0.5000  0.3804  0.8114
Si  0.5000  0.6196  0.1886
Si  0.5000  0.6196  0.8114
Si  0.6196  0.1886  0.5000
Si  0.6196  0.8114  0.5000
Si  0.6839  0.3161  0.3161
Si  0.6839  0.3161  0.6839
Si  0.6839  0.6839  0.3161
Si  0.6839  0.6839  0.6839
Si  0.6886  0.1196  0.0000
Si  0.6886  0.8804  0.0000
Si  0.8114  0.5000  0.3804
Si  0.8114  0.5000  0.6196
Si  0.8161  0.1839  0.1839
Si  0.8161  0.1839  0.8161
Si  0.8161  0.8161  0.1839
Si  0.8161  0.8161  0.8161
Si  0.8804  0.0000  0.3114
Si  0.8804  0.0000  0.6886

2.
VASP calculation (r2SCAN) on a relaxed BaV6O11 crystal.

## Properties
* calculated formation energy: -2.7640 eV/atom
* magnetization: 10.00 μB per formula unit
* VASP energy: -12.583 eV/atom

a b c (Å): 5.8180 5.8180 13.2582
angles (deg): 90.00 90.00 120.01
Sites, in units of the cell vectors:
Ba  0.1672  0.8328  0.7500
Ba  0.8328  0.1672  0.2500
V  0.0000  0.0000  0.0000
V  0.0000  0.0000  0.5000
V  0.0000  0.5000  0.0000
V  0.0000  0.5000  0.5000
V  0.1663  0.8337  0.2500
V  0.5000  0.0000  0.0000
V  0.5000  0.0000  0.5000
V  0.4997  0.5003  0.1467
V  0.4997  0.5003  0.3533
V  0.5003  0.4997  0.6467
V  0.5003  0.4997  0.8533
V  0.8337  0.1663  0.7500
O  0.1592  0.3297  0.0788
O  0.1592  0.3297  0.4212
O  0.1666  0.8334  0.0859
O  0.1666  0.8334  0.4141
O  0.2013  0.3501  0.7500
O  0.3297  0.1592  0.5788
O  0.3297  0.1592  0.9212
O  0.3299  0.6701  0.5788
O  0.3299  0.6701  0.9212
O  0.3501  0.2013  0.2500
O  0.3501  0.6499  0.2500
O  0.6499  0.3501  0.7500
O  0.6499  0.7987  0.7500
O  0.6701  0.3299  0.0788
O  0.6701  0.3299  0.4212
O  0.6703  0.8408  0.0788
O  0.6703  0.8408  0.4212
O  0.7987  0.6499  0.2500
O  0.8334  0.1666  0.5859
O  0.8334  0.1666  0.9141
O  0.8408  0.6703  0.5788
O  0.8408  0.6703  0.9212

3.
VASP calculation (r2SCAN) on a relaxed GdDy crystal.

## Properties
* calculated formation energy: -0.0119 eV/atom
* magnetization: 8.68 μB per formula unit
* VASP energy: -37.701 eV/atom

a b c (Å): 3.6102 3.6102 5.8919
angles (deg): 90.00 90.00 120.00
Sites, in units of the cell vectors:
Gd  0.0000  0.0000  0.0000
Dy  0.3333  0.6667  0.5000

4.
VASP calculation (r2SCAN) on a relaxed Si4MoW crystal.

## Properties
* calculated formation energy: -0.3855 eV/atom
* magnetization: 0.00 μB per formula unit
* VASP energy: -19.141 eV/atom

a b c (Å): 3.2089 3.2089 7.8083
angles (deg): 90.00 90.00 90.00
Sites, in units of the cell vectors:
Si  0.0000  0.0000  0.1645
Si  0.0000  0.0000  0.8355
Si  0.5000  0.5000  0.3346
Si  0.5000  0.5000  0.6654
Mo  0.5000  0.5000  0.0000
W  0.0000  0.0000  0.5000